Here is a geometry-optimized NaLaTiSiS2O12 structure from the Materials Project database. Energies are from PBE-GGA. Values from VASP.

Structure (Quantum ESPRESSO input):
```
&SYSTEM
  ibrav = 0, nat = 108, ntyp = 6
/
ATOMIC_SPECIES
Na 22.99 Na.upf
La 138.91 La.upf
Ti 47.87 Ti.upf
Si 28.09 Si.upf
S 32.06 S.upf
O 16.00 O.upf
ATOMIC_POSITIONS crystal
Na 0.013 0.997 0.497
Na 0.984 0.997 0.997
Na 0.694 0.348 0.830
Na 0.654 0.348 0.330
Na 0.336 0.685 0.163
Na 0.349 0.685 0.663
La 0.002 0.997 0.646
La 0.994 0.997 0.146
La 0.671 0.328 0.979
La 0.657 0.328 0.479
La 0.337 0.669 0.312
La 0.331 0.669 0.812
Ti 0.037 0.013 0.353
Ti 0.976 0.013 0.853
Ti 0.650 0.292 0.686
Ti 0.642 0.292 0.186
Ti 0.322 0.666 0.019
Ti 0.344 0.666 0.519
Si 0.302 0.012 0.248
Si 0.710 0.012 0.748
Si 0.376 0.017 0.581
Si 0.641 0.017 0.081
Si 0.052 0.371 0.916
Si 0.319 0.371 0.416
S 0.720 0.691 0.252
S 0.972 0.282 0.252
S 0.310 0.282 0.752
S 0.972 0.691 0.752
S 0.974 0.357 0.585
S 0.641 0.620 0.583
S 0.979 0.620 0.083
S 0.383 0.357 0.085
S 0.641 0.692 0.918
S 0.304 0.946 0.921
S 0.643 0.946 0.421
S 0.051 0.692 0.418
O 0.201 0.035 0.307
O 0.823 0.789 0.302
O 0.961 0.180 0.301
O 0.219 0.180 0.801
O 0.966 0.789 0.802
O 0.835 0.035 0.807
O 0.798 0.994 0.694
O 0.217 0.212 0.699
O 0.996 0.785 0.699
O 0.789 0.785 0.199
O 0.995 0.212 0.199
O 0.196 0.994 0.194
O 0.877 0.367 0.635
O 0.504 0.128 0.640
O 0.624 0.520 0.633
O 0.896 0.520 0.133
O 0.624 0.128 0.140
O 0.490 0.367 0.135
O 0.454 0.335 0.032
O 0.884 0.550 0.031
O 0.668 0.135 0.030
O 0.467 0.135 0.530
O 0.667 0.550 0.531
O 0.881 0.335 0.532
O 0.554 0.711 0.968
O 0.177 0.482 0.972
O 0.303 0.842 0.970
O 0.539 0.842 0.470
O 0.305 0.482 0.472
O 0.157 0.711 0.468
O 0.121 0.668 0.365
O 0.546 0.880 0.368
O 0.330 0.467 0.360
O 0.136 0.467 0.860
O 0.334 0.880 0.868
O 0.547 0.668 0.865
O 0.043 0.853 0.413
O 0.803 0.945 0.419
O 0.139 0.178 0.405
O 0.039 0.178 0.905
O 0.142 0.945 0.919
O 0.810 0.853 0.913
O 0.004 0.214 0.589
O 0.188 0.982 0.587
O 0.778 0.795 0.587
O 0.017 0.795 0.087
O 0.793 0.982 0.087
O 0.210 0.214 0.089
O 0.705 0.192 0.740
O 0.478 0.288 0.747
O 0.813 0.526 0.747
O 0.713 0.526 0.247
O 0.810 0.288 0.247
O 0.488 0.192 0.240
O 0.674 0.553 0.923
O 0.861 0.330 0.919
O 0.443 0.120 0.927
O 0.677 0.120 0.427
O 0.469 0.330 0.419
O 0.879 0.553 0.423
O 0.376 0.516 0.082
O 0.148 0.626 0.077
O 0.465 0.836 0.071
O 0.371 0.836 0.571
O 0.478 0.626 0.577
O 0.140 0.516 0.582
O 0.344 0.865 0.254
O 0.546 0.662 0.255
O 0.111 0.456 0.257
O 0.345 0.456 0.757
O 0.117 0.662 0.755
O 0.521 0.865 0.754
CELL_PARAMETERS angstrom
9.209 0.000 0.000
-4.605 8.016 -0.090
0.000 -0.269 23.643
```

Output
Corrected total energy (MP2020 scheme) (eV per atom): -7.506
Space-group type: Cc, No. 9
Energy of formation from the pure elements (eV/atom): -2.660

***

Here is a geometry-optimized Na2LaYSiS2O12 structure from the Materials Project database. Energies are from PBE-GGA. Values from VASP.

Structure (Quantum ESPRESSO input):
```
&SYSTEM
  ibrav = 0, nat = 114, ntyp = 6
/
ATOMIC_SPECIES
Na 22.99 Na.upf
La 138.91 La.upf
Y 88.91 Y.upf
Si 28.09 Si.upf
S 32.06 S.upf
O 16.00 O.upf
ATOMIC_POSITIONS crystal
Na 0.003 0.626 0.255
Na 0.377 0.003 0.749
Na 0.654 0.972 0.598
Na 0.028 0.344 0.099
Na 0.987 0.679 0.929
Na 0.317 0.009 0.425
Na 0.022 0.973 0.502
Na 0.024 0.977 0.002
Na 0.654 0.286 0.835
Na 0.712 0.347 0.337
Na 0.318 0.649 0.169
Na 0.347 0.680 0.667
La 0.991 0.009 0.847
La 0.001 0.993 0.154
La 0.653 0.325 0.984
La 0.332 0.689 0.019
La 0.313 0.670 0.516
La 0.357 0.686 0.814
Y 0.993 0.009 0.349
Y 0.004 0.999 0.647
Y 0.666 0.326 0.682
Y 0.676 0.338 0.186
Y 0.670 0.342 0.482
Y 0.313 0.645 0.319
Si 0.001 0.306 0.246
Si 0.697 0.004 0.742
Si 0.370 0.042 0.581
Si 0.964 0.631 0.083
Si 0.326 0.975 0.911
Si 0.023 0.673 0.412
S 0.305 0.998 0.256
S 0.696 0.697 0.253
S 0.302 0.297 0.745
S 0.997 0.700 0.748
S 0.955 0.324 0.583
S 0.672 0.633 0.585
S 0.670 0.038 0.087
S 0.364 0.336 0.088
S 0.642 0.666 0.918
S 0.035 0.372 0.918
S 0.629 0.966 0.416
S 0.335 0.361 0.416
O 0.223 0.017 0.305
O 0.810 0.783 0.299
O 0.990 0.188 0.297
O 0.232 0.205 0.797
O 0.980 0.767 0.801
O 0.795 0.008 0.798
O 0.791 0.996 0.686
O 0.199 0.204 0.698
O 0.017 0.815 0.703
O 0.763 0.787 0.201
O 0.014 0.230 0.187
O 0.199 0.962 0.206
O 0.877 0.345 0.633
O 0.483 0.136 0.635
O 0.665 0.542 0.634
O 0.859 0.517 0.136
O 0.656 0.128 0.135
O 0.456 0.332 0.136
O 0.441 0.325 0.036
O 0.872 0.545 0.024
O 0.671 0.119 0.035
O 0.461 0.142 0.524
O 0.685 0.551 0.534
O 0.861 0.317 0.534
O 0.552 0.666 0.968
O 0.124 0.449 0.970
O 0.310 0.854 0.963
O 0.565 0.877 0.469
O 0.318 0.437 0.466
O 0.150 0.709 0.464
O 0.111 0.648 0.356
O 0.520 0.873 0.370
O 0.355 0.463 0.367
O 0.131 0.466 0.870
O 0.338 0.889 0.853
O 0.550 0.656 0.868
O 0.021 0.846 0.408
O 0.796 0.995 0.408
O 0.189 0.195 0.409
O 0.005 0.203 0.916
O 0.150 0.972 0.913
O 0.805 0.817 0.917
O 0.956 0.166 0.586
O 0.184 0.014 0.586
O 0.818 0.802 0.586
O 0.993 0.818 0.086
O 0.827 0.037 0.089
O 0.194 0.193 0.088
O 0.668 0.164 0.745
O 0.467 0.315 0.740
O 0.853 0.539 0.739
O 0.685 0.533 0.248
O 0.841 0.336 0.248
O 0.465 0.146 0.247
O 0.671 0.525 0.917
O 0.877 0.371 0.917
O 0.488 0.155 0.915
O 0.633 0.127 0.420
O 0.480 0.337 0.419
O 0.845 0.508 0.421
O 0.351 0.487 0.089
O 0.140 0.630 0.086
O 0.531 0.869 0.088
O 0.369 0.864 0.581
O 0.525 0.654 0.583
O 0.125 0.462 0.581
O 0.327 0.852 0.262
O 0.533 0.677 0.263
O 0.162 0.494 0.252
O 0.314 0.459 0.747
O 0.149 0.688 0.748
O 0.508 0.843 0.742
CELL_PARAMETERS angstrom
9.447 0.014 0.031
-4.711 8.185 -0.046
0.082 -0.091 24.281
```

Output
Corrected total energy (MP2020 scheme) (eV per atom): -7.362
Space-group type: P1, No. 1
Energy of formation from the pure elements (eV/atom): -2.777

***

Here is a geometry-optimized Na2La4Y4SiS11O48 structure from the Materials Project database. Energies are from PBE-GGA. Values from VASP.

Structure (Quantum ESPRESSO input):
```
&SYSTEM
  ibrav = 0, nat = 210, ntyp = 6
/
ATOMIC_SPECIES
Na 22.99 Na.upf
La 138.91 La.upf
Y 88.91 Y.upf
Si 28.09 Si.upf
S 32.06 S.upf
O 16.00 O.upf
ATOMIC_POSITIONS crystal
Na 0.002 0.986 0.499
Na 0.501 0.018 0.993
Na 0.342 0.335 0.837
Na 0.842 0.352 0.827
Na 0.331 0.330 0.335
Na 0.845 0.352 0.338
La 0.000 0.991 0.854
La 0.500 0.009 0.854
La 0.000 0.989 0.653
La 0.500 0.000 0.644
La 0.334 0.335 0.684
La 0.839 0.346 0.685
La 0.339 0.335 0.981
La 0.839 0.343 0.478
La 0.662 0.654 0.020
La 0.161 0.669 0.516
La 0.160 0.665 0.810
La 0.663 0.658 0.816
Y 0.001 0.992 0.352
Y 0.500 0.999 0.354
Y 0.999 0.000 0.146
Y 0.501 0.001 0.151
Y 0.331 0.332 0.184
Y 0.836 0.335 0.185
Y 0.835 0.334 0.984
Y 0.334 0.334 0.481
Y 0.165 0.664 0.021
Y 0.666 0.668 0.519
Y 0.161 0.665 0.314
Y 0.666 0.666 0.311
Si 0.995 0.697 0.752
Si 0.516 0.366 0.917
Si 0.018 0.670 0.413
S 0.146 0.004 0.249
S 0.646 0.004 0.251
S 0.356 0.708 0.251
S 0.855 0.707 0.250
S 0.998 0.287 0.250
S 0.498 0.289 0.251
S 0.151 0.296 0.751
S 0.648 0.293 0.749
S 0.499 0.705 0.750
S 0.353 0.004 0.749
S 0.851 0.003 0.752
S 0.481 0.340 0.579
S 0.982 0.326 0.582
S 0.187 0.046 0.580
S 0.687 0.033 0.581
S 0.333 0.622 0.580
S 0.831 0.634 0.580
S 0.478 0.634 0.088
S 0.978 0.625 0.084
S 0.334 0.035 0.086
S 0.837 0.050 0.085
S 0.185 0.333 0.085
S 0.688 0.322 0.086
S 0.311 0.666 0.919
S 0.814 0.656 0.919
S 0.018 0.376 0.921
S 0.168 0.956 0.920
S 0.671 0.972 0.919
S 0.315 0.966 0.413
S 0.811 0.950 0.414
S 0.168 0.370 0.414
S 0.664 0.378 0.414
S 0.521 0.664 0.415
O 0.109 0.033 0.298
O 0.607 0.030 0.299
O 0.410 0.787 0.299
O 0.907 0.784 0.298
O 0.485 0.183 0.299
O 0.984 0.184 0.299
O 0.111 0.196 0.800
O 0.608 0.194 0.798
O 0.488 0.783 0.799
O 0.986 0.792 0.804
O 0.403 0.026 0.798
O 0.903 0.027 0.800
O 0.395 0.992 0.700
O 0.891 0.988 0.702
O 0.104 0.219 0.701
O 0.598 0.210 0.701
O 0.004 0.800 0.696
O 0.504 0.800 0.701
O 0.396 0.810 0.202
O 0.893 0.809 0.201
O 0.008 0.206 0.201
O 0.511 0.213 0.202
O 0.095 0.982 0.201
O 0.595 0.978 0.203
O 0.446 0.367 0.629
O 0.942 0.344 0.631
O 0.233 0.125 0.630
O 0.736 0.105 0.630
O 0.322 0.525 0.630
O 0.819 0.539 0.630
O 0.434 0.525 0.134
O 0.939 0.518 0.132
O 0.323 0.120 0.133
O 0.825 0.133 0.134
O 0.241 0.361 0.133
O 0.739 0.339 0.134
O 0.220 0.300 0.037
O 0.726 0.299 0.036
O 0.430 0.566 0.038
O 0.925 0.548 0.036
O 0.352 0.137 0.037
O 0.850 0.153 0.037
O 0.233 0.150 0.532
O 0.726 0.139 0.533
O 0.343 0.535 0.533
O 0.842 0.551 0.533
O 0.426 0.316 0.532
O 0.931 0.309 0.533
O 0.267 0.679 0.968
O 0.773 0.675 0.967
O 0.071 0.466 0.968
O 0.569 0.458 0.972
O 0.162 0.856 0.968
O 0.662 0.871 0.967
O 0.282 0.871 0.463
O 0.771 0.853 0.464
O 0.157 0.441 0.464
O 0.654 0.455 0.463
O 0.069 0.690 0.469
O 0.571 0.689 0.464
O 0.068 0.652 0.361
O 0.561 0.638 0.366
O 0.262 0.885 0.366
O 0.760 0.864 0.366
O 0.181 0.476 0.366
O 0.674 0.484 0.366
O 0.052 0.473 0.871
O 0.562 0.473 0.863
O 0.179 0.883 0.870
O 0.683 0.900 0.869
O 0.266 0.654 0.869
O 0.765 0.631 0.869
O 0.008 0.835 0.408
O 0.512 0.811 0.406
O 0.398 0.987 0.403
O 0.894 0.970 0.409
O 0.094 0.204 0.406
O 0.589 0.214 0.405
O 0.010 0.214 0.916
O 0.507 0.182 0.917
O 0.093 0.969 0.917
O 0.596 0.988 0.916
O 0.395 0.815 0.919
O 0.896 0.803 0.915
O 0.488 0.192 0.585
O 0.990 0.177 0.585
O 0.105 0.032 0.580
O 0.604 0.013 0.588
O 0.408 0.785 0.585
O 0.904 0.801 0.583
O 0.487 0.800 0.096
O 0.987 0.789 0.094
O 0.408 0.016 0.096
O 0.911 0.035 0.094
O 0.103 0.189 0.097
O 0.604 0.173 0.092
O 0.344 0.153 0.746
O 0.840 0.149 0.748
O 0.234 0.311 0.748
O 0.730 0.307 0.746
O 0.424 0.536 0.747
O 0.913 0.513 0.750
O 0.348 0.541 0.244
O 0.845 0.540 0.242
O 0.424 0.307 0.244
O 0.924 0.308 0.243
O 0.231 0.155 0.242
O 0.730 0.151 0.244
O 0.319 0.517 0.923
O 0.823 0.506 0.926
O 0.424 0.348 0.918
O 0.934 0.358 0.929
O 0.241 0.124 0.924
O 0.745 0.140 0.926
O 0.325 0.135 0.419
O 0.817 0.114 0.417
O 0.243 0.350 0.420
O 0.737 0.358 0.417
O 0.437 0.516 0.421
O 0.926 0.503 0.414
O 0.178 0.481 0.077
O 0.680 0.470 0.081
O 0.060 0.642 0.075
O 0.560 0.650 0.084
O 0.261 0.872 0.078
O 0.764 0.888 0.079
O 0.181 0.885 0.576
O 0.677 0.868 0.571
O 0.260 0.640 0.573
O 0.756 0.648 0.571
O 0.064 0.475 0.577
O 0.563 0.486 0.570
O 0.157 0.859 0.257
O 0.654 0.856 0.260
O 0.275 0.691 0.259
O 0.772 0.689 0.259
O 0.073 0.451 0.257
O 0.572 0.453 0.260
O 0.162 0.461 0.756
O 0.657 0.457 0.753
O 0.077 0.682 0.756
O 0.573 0.692 0.754
O 0.272 0.856 0.753
O 0.770 0.853 0.757
CELL_PARAMETERS angstrom
18.791 -0.024 -0.005
-4.708 8.139 -0.001
-0.006 -0.007 24.703
```

Output
Corrected total energy (MP2020 scheme) (eV per atom): -7.488
Space-group type: P1, No. 1
Energy of formation from the pure elements (eV/atom): -2.678

***

Computed VASP energy, in the same sequence as the records: -761.2 -789.8 -1473.5 eV per cell.
Computed V, in the same sequence as the records: 1745 1879 3775 Å³ per cell.